Below is a geometry-optimized TiAlNi6 structure, with properties calculated at the r2SCAN level.

a = 3.561 Å, b = 3.561 Å, c = 7.023 Å
α = 90.00°, β = 90.00°, γ = 90.00°
Element x y z (fractional)
Ti 0.000 0.000 0.000
Al 0.000 0.000 0.500
Ni 0.000 0.500 0.253
Ni 0.000 0.500 0.747
Ni 0.500 0.000 0.253
Ni 0.500 0.000 0.747
Ni 0.500 0.500 0.000
Ni 0.500 0.500 0.500

Summary:
For the energy relative to the elements, the calculation gives -0.4503 eV/atom. For the total magnetization, the calculation gives 0.643 μB per formula unit.



Below is a geometry-optimized Ca2SnS4 structure, with properties calculated at the r2SCAN level.

a = 6.964 Å, b = 6.964 Å, c = 3.858 Å
α = 90.00°, β = 90.00°, γ = 108.39°
Element x y z (fractional)
Ca 0.000 0.500 0.000
Ca 0.500 0.000 0.000
Sn 0.000 0.000 0.500
S 0.217 0.217 0.000
S 0.229 0.771 0.500
S 0.771 0.229 0.500
S 0.783 0.783 0.000

Summary:
For the energy relative to the elements, the calculation gives -1.5747 eV/atom. Its offset from the most stable computed form is 21 meV/atom. For the total magnetization, the calculation gives 0.000 μB per formula unit.



Below is a geometry-optimized ZnH6S4O16 structure, with properties calculated at the r2SCAN level.

a = 5.026 Å, b = 15.240 Å, c = 7.945 Å
α = 90.00°, β = 104.23°, γ = 90.00°
Element x y z (fractional)
Zn 0.000 0.000 0.000
Zn 0.000 0.500 0.500
H 0.190 0.236 0.812
H 0.190 0.264 0.312
H 0.283 0.523 0.110
H 0.283 0.977 0.610
H 0.427 0.737 0.844
H 0.427 0.763 0.344
H 0.573 0.237 0.656
H 0.573 0.263 0.156
H 0.717 0.023 0.390
H 0.717 0.477 0.890
H 0.810 0.736 0.688
H 0.810 0.764 0.188
S 0.124 0.664 0.244
S 0.124 0.836 0.744
S 0.426 0.087 0.773
S 0.426 0.413 0.273
S 0.574 0.587 0.727
S 0.574 0.913 0.227
S 0.876 0.164 0.256
S 0.876 0.336 0.756
O 0.027 0.106 0.172
O 0.027 0.394 0.672
O 0.070 0.228 0.373
O 0.070 0.272 0.873
O 0.276 0.043 0.601
O 0.276 0.457 0.101
O 0.285 0.565 0.692
O 0.285 0.935 0.192
O 0.287 0.625 0.139
O 0.287 0.875 0.639
O 0.301 0.062 0.910
O 0.301 0.438 0.410
O 0.304 0.720 0.389
O 0.304 0.780 0.889
O 0.383 0.181 0.732
O 0.383 0.319 0.232
O 0.617 0.681 0.768
O 0.617 0.819 0.268
O 0.696 0.220 0.111
O 0.696 0.280 0.611
O 0.699 0.562 0.590
O 0.699 0.938 0.090
O 0.713 0.125 0.361
O 0.713 0.375 0.861
O 0.715 0.065 0.808
O 0.715 0.435 0.308
O 0.724 0.543 0.899
O 0.724 0.957 0.399
O 0.930 0.728 0.127
O 0.930 0.772 0.627
O 0.973 0.606 0.328
O 0.973 0.894 0.828

Summary:
For the energy relative to the elements, the calculation gives -1.2997 eV/atom. For the total magnetization, the calculation gives 0.000 μB per formula unit.



Below is a geometry-optimized VP3O9 structure, with properties calculated at the r2SCAN level.

a = 11.630 Å, b = 11.630 Å, c = 9.444 Å
α = 110.07°, β = 110.07°, γ = 110.81°
Element x y z (fractional)
V 0.080 0.920 0.500
V 0.264 0.774 0.033
V 0.409 0.585 0.497
V 0.585 0.409 0.997
V 0.774 0.264 0.533
V 0.920 0.080 0.000
P 0.008 0.734 0.691
P 0.061 0.434 0.246
P 0.069 0.676 0.197
P 0.103 0.166 0.819
P 0.130 0.419 0.790
P 0.166 0.103 0.319
P 0.327 0.381 0.662
P 0.381 0.327 0.162
P 0.419 0.130 0.290
P 0.434 0.061 0.746
P 0.450 0.845 0.846
P 0.516 0.789 0.346
P 0.676 0.069 0.697
P 0.716 0.755 0.227
P 0.734 0.008 0.191
P 0.755 0.716 0.727
P 0.789 0.516 0.846
P 0.845 0.450 0.346
O 0.026 0.293 0.112
O 0.044 0.520 0.148
O 0.065 0.738 0.362
O 0.079 0.738 0.858
O 0.080 0.972 0.314
O 0.083 0.863 0.683
O 0.102 0.103 0.650
O 0.103 0.102 0.150
O 0.143 0.327 0.878
O 0.180 0.563 0.936
O 0.195 0.241 0.475
O 0.198 0.769 0.202
O 0.204 0.528 0.418
O 0.241 0.195 0.975
O 0.245 0.443 0.734
O 0.293 0.026 0.612
O 0.327 0.143 0.378
O 0.337 0.756 0.868
O 0.337 0.984 0.126
O 0.340 0.401 0.279
O 0.398 0.937 0.785
O 0.401 0.340 0.779
O 0.410 0.680 0.357
O 0.417 0.488 0.634
O 0.443 0.245 0.234
O 0.455 0.831 0.220
O 0.485 0.768 0.722
O 0.488 0.417 0.134
O 0.520 0.044 0.648
O 0.528 0.204 0.918
O 0.563 0.180 0.436
O 0.593 0.971 0.033
O 0.612 0.653 0.569
O 0.612 0.735 0.301
O 0.637 0.928 0.537
O 0.653 0.612 0.069
O 0.680 0.410 0.857
O 0.698 0.849 0.145
O 0.735 0.612 0.801
O 0.738 0.065 0.862
O 0.738 0.079 0.358
O 0.756 0.337 0.368
O 0.768 0.485 0.222
O 0.769 0.198 0.702
O 0.828 0.866 0.877
O 0.831 0.455 0.720
O 0.849 0.698 0.645
O 0.863 0.083 0.183
O 0.866 0.828 0.377
O 0.928 0.637 0.037
O 0.937 0.398 0.285
O 0.971 0.593 0.533
O 0.972 0.080 0.814
O 0.984 0.337 0.626

Summary:
For the energy relative to the elements, the calculation gives -2.4280 eV/atom. Its offset from the most stable computed form is 0 meV/atom. For the total magnetization, the calculation gives 2.000 μB per formula unit.



Below is a geometry-optimized GdAlSi structure, with properties calculated at the r2SCAN level.

a = 7.787 Å, b = 7.787 Å, c = 7.787 Å
α = 149.19°, β = 149.19°, γ = 44.13°
Element x y z (fractional)
Gd 0.000 0.000 0.000
Gd 0.750 0.250 0.500
Al 0.334 0.834 0.500
Al 0.584 0.584 0.000
Si 0.169 0.669 0.500
Si 0.419 0.419 0.000

Summary:
For the energy relative to the elements, the calculation gives -0.6553 eV/atom. For the total magnetization, the calculation gives 7.024 μB per formula unit.



Below is a geometry-optimized HoGeRu structure, with properties calculated at the r2SCAN level.

a = 6.996 Å, b = 4.398 Å, c = 7.159 Å
α = 90.00°, β = 90.00°, γ = 90.00°
Element x y z (fractional)
Ho 0.016 0.250 0.192
Ho 0.484 0.750 0.692
Ho 0.516 0.250 0.308
Ho 0.984 0.750 0.808
Ge 0.202 0.250 0.607
Ge 0.298 0.750 0.107
Ge 0.702 0.250 0.893
Ge 0.798 0.750 0.393
Ru 0.154 0.750 0.436
Ru 0.346 0.250 0.936
Ru 0.654 0.750 0.064
Ru 0.846 0.250 0.564

Summary:
For the energy relative to the elements, the calculation gives -0.7895 eV/atom. For the total magnetization, the calculation gives 0.000 μB per formula unit.



Below is a geometry-optimized Pr2InAu2 structure, with properties calculated at the r2SCAN level.

a = 8.092 Å, b = 8.092 Å, c = 3.953 Å
α = 90.00°, β = 90.00°, γ = 90.00°
Element x y z (fractional)
Pr 0.174 0.326 0.000
Pr 0.326 0.826 0.000
Pr 0.674 0.174 0.000
Pr 0.826 0.674 0.000
In 0.000 0.000 0.500
In 0.500 0.500 0.500
Au 0.126 0.626 0.500
Au 0.374 0.126 0.500
Au 0.626 0.874 0.500
Au 0.874 0.374 0.500

Summary:
For the energy relative to the elements, the calculation gives -0.8618 eV/atom. For the total magnetization, the calculation gives 0.000 μB per formula unit.



Below is a geometry-optimized FeCo2O4 structure, with properties calculated at the r2SCAN level.

a = 5.829 Å, b = 5.829 Å, c = 5.829 Å
α = 120.58°, β = 119.68°, γ = 89.77°
Element x y z (fractional)
Fe 0.000 0.000 0.000
Fe 0.500 0.000 0.500
Co 0.000 0.000 0.500
Co 0.000 0.500 0.000
Co 0.376 0.626 0.750
Co 0.624 0.374 0.250
O 0.216 0.245 0.971
O 0.225 0.755 0.471
O 0.233 0.219 0.486
O 0.233 0.747 0.014
O 0.767 0.253 0.986
O 0.767 0.781 0.514
O 0.775 0.245 0.529
O 0.784 0.755 0.029

Summary:
For the energy relative to the elements, the calculation gives -1.3947 eV/atom. For the total magnetization, the calculation gives 8.000 μB per formula unit.



Below is a geometry-optimized NpCl3 structure, with properties calculated at the r2SCAN level.

a = 7.421 Å, b = 7.421 Å, c = 4.312 Å
α = 90.00°, β = 90.00°, γ = 120.00°
Element x y z (fractional)
Np 0.333 0.667 0.250
Np 0.667 0.333 0.750
Cl 0.086 0.390 0.750
Cl 0.304 0.914 0.750
Cl 0.390 0.304 0.250
Cl 0.610 0.696 0.750
Cl 0.696 0.086 0.250
Cl 0.914 0.610 0.250

Summary:
For the energy relative to the elements, the calculation gives -2.3544 eV/atom. For the total magnetization, the calculation gives 4.000 μB per formula unit.



Below is a geometry-optimized GaSi2Ni6 structure, with properties calculated at the r2SCAN level.

a = 4.942 Å, b = 3.712 Å, c = 21.364 Å
α = 90.00°, β = 90.52°, γ = 90.00°
Element x y z (fractional)
Ga 0.000 0.000 0.000
Ga 0.000 0.000 0.332
Ga 0.006 0.000 0.667
Ga 0.506 0.000 0.574
Si 0.399 0.500 0.405
Si 0.400 0.500 0.073
Si 0.401 0.500 0.741
Si 0.497 0.000 0.241
Si 0.497 0.000 0.909
Si 0.899 0.500 0.501
Si 0.915 0.500 0.166
Si 0.915 0.500 0.834
Ni 0.032 0.000 0.554
Ni 0.039 0.000 0.222
Ni 0.040 0.000 0.890
Ni 0.158 0.000 0.441
Ni 0.161 0.000 0.108
Ni 0.161 0.000 0.776
Ni 0.263 0.500 0.297
Ni 0.264 0.500 0.965
Ni 0.270 0.500 0.632
Ni 0.364 0.500 0.512
Ni 0.377 0.500 0.850
Ni 0.378 0.500 0.182
Ni 0.526 0.000 0.349
Ni 0.527 0.000 0.018
Ni 0.532 0.000 0.687
Ni 0.658 0.000 0.464
Ni 0.660 0.000 0.135
Ni 0.660 0.000 0.804
Ni 0.753 0.500 0.270
Ni 0.753 0.500 0.938
Ni 0.770 0.500 0.609
Ni 0.860 0.500 0.061
Ni 0.862 0.500 0.393
Ni 0.862 0.500 0.729

Summary:
For the energy relative to the elements, the calculation gives -0.4689 eV/atom. For the total magnetization, the calculation gives 0.000 μB per formula unit.



Below is a geometry-optimized LiI structure, with properties calculated at the r2SCAN level.

a = 4.544 Å, b = 4.544 Å, c = 7.292 Å
α = 90.00°, β = 90.00°, γ = 120.00°
Element x y z (fractional)
Li 0.333 0.667 0.000
Li 0.667 0.333 0.500
I 0.333 0.667 0.381
I 0.667 0.333 0.881

Summary:
For the energy relative to the elements, the calculation gives -1.4040 eV/atom. Its offset from the most stable computed form is 0 meV/atom. For the total magnetization, the calculation gives 0.000 μB per formula unit.



Below is a geometry-optimized TiNbC2 structure, with properties calculated at the r2SCAN level.

a = 5.408 Å, b = 5.408 Å, c = 5.408 Å
α = 33.65°, β = 33.65°, γ = 33.65°
Element x y z (fractional)
Ti 0.000 0.000 0.000
Nb 0.500 0.500 0.500
C 0.252 0.252 0.252
C 0.748 0.748 0.748

Summary:
For the energy relative to the elements, the calculation gives -0.7830 eV/atom. For the total magnetization, the calculation gives 0.000 μB per formula unit.